The following is a DFT calculation (PBE-GGA) of a relaxed MgBi4O8 crystal.

Results
Calculated volume   257.9 Å³ per cell
Mass density   6.36 g/cm³
Crystal system   triclinic
ΔE to the lowest computed polymorph   166 meV/atom
ΔE_f   -1570 meV/atom

Lattice parameters (Å, degrees): 6.9325 6.9360 7.1570 116.58 94.25 116.75
Last column: nearest neighbours and their distance in Å.
Space group P1 (No. 1)
Inequivalent atoms, fractional coordinates:
Mg: 0.0000 0.0000 0.0000 [1 per cell]  4 O 2.01-2.11
Bi: 0.4064 0.9359 0.3696 [1 per cell]  3 O 2.15-2.17
Bi: 0.4708 0.3985 0.8749 [1 per cell]  6 O 2.10-2.25
Bi: 0.4747 0.8852 0.8561 [1 per cell]  4 O 2.21-2.45
Bi: 0.9586 0.3709 0.8452 [1 per cell]  4 O 2.20-2.42
O: 0.1968 0.9000 0.1037 [1 per cell]  1 Mg 2.01, 1 Bi 2.15
O: 0.2288 0.3596 0.0523 [1 per cell]  1 Mg 2.10, 1 Bi 2.17
O: 0.2574 0.4338 0.6817 [1 per cell]  2 Bi 2.12-2.37
O: 0.2645 0.9730 0.6351 [1 per cell]  2 Bi 2.17-2.24
O: 0.6460 0.3394 0.6210 [1 per cell]  2 Bi 2.17-2.25
O: 0.6901 0.8150 0.0511 [1 per cell]  1 Mg 2.11, 2 Bi 2.18-2.32
O: 0.6928 0.3537 0.0441 [1 per cell]  1 Bi 2.10
O: 0.7815 0.9715 0.7550 [1 per cell]  1 Mg 2.11, 2 Bi 2.20-2.21

***

The following is a DFT calculation (PBE-GGA) of a relaxed RbBiF4 crystal.

Results
Calculated volume   367.1 Å³ per cell
Mass density   5.03 g/cm³
Crystal system   triclinic
ΔE_f   -2757 meV/atom

Lattice parameters (Å, degrees): 4.3146 4.3203 21.9294 84.67 85.95 64.48
Last column: nearest neighbours and their distance in Å.
Space group P1 (No. 1)
Inequivalent atoms, fractional coordinates:
Rb: 0.0000 0.0000 0.0000 [1 per cell]  4 F 2.63-2.82
Rb: 0.2845 0.3107 0.8285 [1 per cell]  5 F 2.79-2.99
Rb: 0.6839 0.7005 0.1704 [1 per cell]  5 F 2.64-2.87
Bi: 0.2588 0.3651 0.3301 [1 per cell]  5 F 2.17-2.31
Bi: 0.5904 0.7960 0.6499 [1 per cell]  3 F 2.14-2.22
Bi: 0.9171 0.1057 0.4921 [1 per cell]  4 F 2.18-2.24
F: 0.0471 0.9801 0.6254 [1 per cell]  2 Bi 2.22-2.43
F: 0.0892 0.9288 0.3444 [1 per cell]  2 Bi 2.27-2.29
F: 0.3374 0.3343 0.2257 [1 per cell]  1 Bi 2.30
F: 0.3747 0.3241 0.6769 [1 per cell]  1 Bi 2.18
F: 0.4836 0.2150 0.5574 [1 per cell]  1 Bi 2.18
F: 0.4847 0.1621 0.4394 [1 per cell]  1 Bi 2.18
F: 0.5717 0.7219 0.7478 [1 per cell]  1 Bi 2.14
F: 0.6455 0.6358 0.0531 [1 per cell]  4 Rb 2.64-2.82
F: 0.7427 0.6131 0.2951 [1 per cell]  1 Bi 2.17
F: 0.8088 0.5935 0.5297 [1 per cell]  1 Bi 2.18
F: 0.8643 0.4819 0.4115 [1 per cell]  2 Bi 2.24-2.31
F: 0.9292 0.9464 0.8841 [1 per cell]  4 Rb 2.63-2.85

***

The following is a DFT calculation (PBE-GGA) of a relaxed KCaH3 crystal.

Results
Calculated volume   356.5 Å³ per cell
Mass density   1.53 g/cm³
Crystal system   orthorhombic
ΔE_f   -479 meV/atom

Lattice parameters (Å, degrees): 6.3226 8.9330 6.3118 90.00 90.00 90.00
Last column: nearest neighbours and their distance in Å.
Space group Pnma (No. 62)
Inequivalent atoms, fractional coordinates:
K: 0.0164 0.2500 0.0034 [4 per cell]  8 H 2.83-3.15
Ca: 0.0000 0.0000 0.5000 [4 per cell]  6 H 2.26
H: 0.0140 0.7500 0.4437 [4 per cell]  2 Ca 2.26
H: 0.2219 0.5296 0.7783 [8 per cell]  2 Ca 2.26

***

The following is a DFT calculation (PBE-GGA) of a relaxed NaPr2Cl6 crystal.

Results
Calculated volume   438.1 Å³ per cell
Mass density   3.92 g/cm³
Crystal system   monoclinic
ΔE_f   -2456 meV/atom

Lattice parameters (Å, degrees): 7.9899 3.9557 16.0000 90.00 119.96 90.00
Last column: nearest neighbours and their distance in Å.
Space group P2_1/c (No. 14)
Inequivalent atoms, fractional coordinates:
Na: 0.0000 0.0000 0.0000 [2 per cell]  6 Cl 2.95-2.96
Pr: 0.3333 0.2501 0.3333 [4 per cell]  9 Cl 2.92-3.14
Cl: 0.0809 0.7486 0.3495 [4 per cell]  3 Pr 2.92-3.14, 1 Na 2.96
Cl: 0.3014 0.7491 0.6906 [4 per cell]  3 Pr 2.93-3.13, 1 Na 2.96
Cl: 0.3811 0.2503 0.0398 [4 per cell]  3 Pr 2.93-3.13, 1 Na 2.95

***

The following is a DFT calculation (PBE-GGA) of a relaxed MgBi4O8 crystal.

Results
Calculated volume   279.1 Å³ per cell
Mass density   5.88 g/cm³
Crystal system   triclinic
ΔE to the lowest computed polymorph   150 meV/atom
ΔE_f   -1586 meV/atom

Lattice parameters (Å, degrees): 3.4355 8.6554 9.7196 86.98 80.12 78.68
Last column: nearest neighbours and their distance in Å.
Space group P1 (No. 1)
Inequivalent atoms, fractional coordinates:
Mg: 0.0000 0.0000 0.0000 [1 per cell]  4 O 2.01-2.05
Bi: 0.0895 0.6080 0.2036 [1 per cell]  6 O 2.09-2.26
Bi: 0.3039 0.8947 0.4907 [1 per cell]  5 O 2.25-2.36
Bi: 0.7157 0.7416 0.8216 [1 per cell]  3 O 2.14-2.25
Bi: 0.7580 0.2332 0.2271 [1 per cell]  4 O 2.23-2.44
O: 0.0954 0.7661 0.0339 [1 per cell]  1 Mg 2.01, 1 Bi 2.09
O: 0.1409 0.9121 0.8026 [1 per cell]  1 Mg 2.05, 2 Bi 2.25
O: 0.1466 0.3812 0.3166 [1 per cell]  3 Bi 2.19-2.32
O: 0.4198 0.0993 0.0643 [1 per cell]  2 Mg 2.01-2.02
O: 0.4787 0.7151 0.3208 [1 per cell]  3 Bi 2.25-2.26
O: 0.6955 0.4898 0.1065 [1 per cell]  3 Bi 2.20-2.44
O: 0.7822 0.0382 0.3859 [1 per cell]  3 Bi 2.23-2.33
O: 0.8238 0.7463 0.5979 [1 per cell]  3 Bi 2.14-2.36

***

The following is a DFT calculation (PBE-GGA) of a relaxed MnV2Cr crystal.

Results
Calculated volume   193.9 Å³ per cell
Mass density   7.15 g/cm³
Crystal system   cubic
ΔE_f   -187 meV/atom

Lattice parameters (Å, degrees): 5.7884 5.7884 5.7884 90.00 90.00 90.00
Last column: nearest neighbours and their distance in Å.
Space group Fm-3m (No. 225)
Inequivalent atoms, fractional coordinates:
Mn: 0.0000 0.0000 0.0000 [4 per cell]  8 V 2.51
V: 0.2500 0.2500 0.2500 [8 per cell]  4 Cr 2.51, 4 Mn 2.51
Cr: 0.0000 0.0000 0.5000 [4 per cell]  8 V 2.51

***

Which of these has the highest ΔE_f?
MnV2Cr

***

Which of these has the highest calculated volume?
NaPr2Cl6

***

Among the records above, which one has the lowest ΔE_f?
RbBiF4

***

Copy entry 4 word for word.
The following is a DFT calculation (PBE-GGA) of a relaxed NaPr2Cl6 crystal.

Results
Calculated volume   438.1 Å³ per cell
Mass density   3.92 g/cm³
Crystal system   monoclinic
ΔE_f   -2456 meV/atom

Lattice parameters (Å, degrees): 7.9899 3.9557 16.0000 90.00 119.96 90.00
Last column: nearest neighbours and their distance in Å.
Space group P2_1/c (No. 14)
Inequivalent atoms, fractional coordinates:
Na: 0.0000 0.0000 0.0000 [2 per cell]  6 Cl 2.95-2.96
Pr: 0.3333 0.2501 0.3333 [4 per cell]  9 Cl 2.92-3.14
Cl: 0.0809 0.7486 0.3495 [4 per cell]  3 Pr 2.92-3.14, 1 Na 2.96
Cl: 0.3014 0.7491 0.6906 [4 per cell]  3 Pr 2.93-3.13, 1 Na 2.96
Cl: 0.3811 0.2503 0.0398 [4 per cell]  3 Pr 2.93-3.13, 1 Na 2.95